# 1
VASP calculation (meta-GGA r2SCAN) on Dy5Mg after structural relaxation.

Cell: 6.583 6.583 6.583 Å, 55.50 55.50 55.50°
Fractional coordinates of all 6 atoms:
Dy 0.000 0.660 0.340
Dy 0.168 0.168 0.168
Dy 0.340 0.000 0.660
Dy 0.660 0.340 0.000
Dy 0.832 0.832 0.832
Mg 0.500 0.500 0.500

Calculated values
Volume = 30.1 Å³ per atom



# 2
VASP calculation (meta-GGA r2SCAN) on DyMg3 after structural relaxation.

Cell: 7.274 7.274 7.274 Å, 90.00 90.00 90.00°
Fractional coordinates of all 16 atoms:
Dy 0.000 0.000 0.000
Dy 0.000 0.500 0.500
Dy 0.500 0.000 0.500
Dy 0.500 0.500 0.000
Mg 0.000 0.000 0.500
Mg 0.000 0.500 0.000
Mg 0.250 0.250 0.250
Mg 0.250 0.250 0.750
Mg 0.250 0.750 0.250
Mg 0.250 0.750 0.750
Mg 0.500 0.000 0.000
Mg 0.500 0.500 0.500
Mg 0.750 0.250 0.250
Mg 0.750 0.250 0.750
Mg 0.750 0.750 0.250
Mg 0.750 0.750 0.750

Calculated values
Volume = 24.1 Å³ per atom



# 3
VASP calculation (meta-GGA r2SCAN) on Dy4MgNi after structural relaxation.

Cell: 9.583 9.583 9.583 Å, 60.00 60.00 60.00°
Fractional coordinates of all 24 atoms:
Dy 0.062 0.062 0.438
Dy 0.062 0.438 0.062
Dy 0.062 0.438 0.438
Dy 0.186 0.186 0.814
Dy 0.186 0.814 0.186
Dy 0.186 0.814 0.814
Dy 0.212 0.596 0.596
Dy 0.438 0.062 0.062
Dy 0.438 0.062 0.438
Dy 0.438 0.438 0.062
Dy 0.596 0.212 0.596
Dy 0.596 0.596 0.212
Dy 0.596 0.596 0.596
Dy 0.814 0.186 0.186
Dy 0.814 0.186 0.814
Dy 0.814 0.814 0.186
Mg 0.512 0.829 0.829
Mg 0.829 0.512 0.829
Mg 0.829 0.829 0.512
Mg 0.829 0.829 0.829
Ni 0.392 0.392 0.392
Ni 0.392 0.392 0.825
Ni 0.392 0.825 0.392
Ni 0.825 0.392 0.392

Calculated values
Volume = 25.9 Å³ per atom



# 4
VASP calculation (meta-GGA r2SCAN) on Dy2MgNi2 after structural relaxation.

Cell: 7.329 7.329 3.688 Å, 90.00 90.00 90.00°
Fractional coordinates of all 10 atoms:
Dy 0.173 0.327 0.000
Dy 0.327 0.827 0.000
Dy 0.673 0.173 0.000
Dy 0.827 0.673 0.000
Mg 0.000 0.000 0.500
Mg 0.500 0.500 0.500
Ni 0.118 0.618 0.500
Ni 0.382 0.118 0.500
Ni 0.618 0.882 0.500
Ni 0.882 0.382 0.500

Calculated values
Volume = 19.8 Å³ per atom



# 5
VASP calculation (meta-GGA r2SCAN) on DyMgPd after structural relaxation.

Cell: 7.400 7.400 4.067 Å, 90.00 90.00 120.00°
Fractional coordinates of all 9 atoms:
Dy 0.000 0.412 0.000
Dy 0.412 0.000 0.000
Dy 0.588 0.588 0.000
Mg 0.000 0.757 0.500
Mg 0.243 0.243 0.500
Mg 0.757 0.000 0.500
Pd 0.000 0.000 0.000
Pd 0.333 0.667 0.500
Pd 0.667 0.333 0.500

Calculated values
Volume = 21.4 Å³ per atom



# 6
VASP calculation (meta-GGA r2SCAN) on Dy2MgPd2 after structural relaxation.

Cell: 7.703 7.703 3.718 Å, 90.00 90.00 90.00°
Fractional coordinates of all 10 atoms:
Dy 0.168 0.332 0.000
Dy 0.332 0.832 0.000
Dy 0.668 0.168 0.000
Dy 0.832 0.668 0.000
Mg 0.000 0.000 0.500
Mg 0.500 0.500 0.500
Pd 0.132 0.632 0.500
Pd 0.368 0.132 0.500
Pd 0.632 0.868 0.500
Pd 0.868 0.368 0.500

Calculated values
Volume = 22.1 Å³ per atom



# 7
VASP calculation (meta-GGA r2SCAN) on PrDyMg2 after structural relaxation.

Cell: 7.696 7.696 7.696 Å, 90.00 90.00 90.00°
Fractional coordinates of all 16 atoms:
Pr 0.000 0.000 0.000
Pr 0.000 0.500 0.500
Pr 0.500 0.000 0.500
Pr 0.500 0.500 0.000
Dy 0.000 0.000 0.500
Dy 0.000 0.500 0.000
Dy 0.500 0.000 0.000
Dy 0.500 0.500 0.500
Mg 0.250 0.250 0.250
Mg 0.250 0.250 0.750
Mg 0.250 0.750 0.250
Mg 0.250 0.750 0.750
Mg 0.750 0.250 0.250
Mg 0.750 0.250 0.750
Mg 0.750 0.750 0.250
Mg 0.750 0.750 0.750

Calculated values
Volume = 28.5 Å³ per atom



# 8
VASP calculation (meta-GGA r2SCAN) on DyMgRh2 after structural relaxation.

Cell: 6.516 6.516 6.516 Å, 90.00 90.00 90.00°
Fractional coordinates of all 16 atoms:
Dy 0.000 0.000 0.000
Dy 0.000 0.500 0.500
Dy 0.500 0.000 0.500
Dy 0.500 0.500 0.000
Mg 0.000 0.000 0.500
Mg 0.000 0.500 0.000
Mg 0.500 0.000 0.000
Mg 0.500 0.500 0.500
Rh 0.250 0.250 0.250
Rh 0.250 0.250 0.750
Rh 0.250 0.750 0.250
Rh 0.250 0.750 0.750
Rh 0.750 0.250 0.250
Rh 0.750 0.250 0.750
Rh 0.750 0.750 0.250
Rh 0.750 0.750 0.750

Calculated values
Volume = 17.3 Å³ per atom



# 9
VASP calculation (meta-GGA r2SCAN) on Dy4MgRh after structural relaxation.

Cell: 9.664 9.664 9.664 Å, 60.00 60.00 60.00°
Fractional coordinates of all 24 atoms:
Dy 0.063 0.063 0.437
Dy 0.063 0.437 0.063
Dy 0.063 0.437 0.437
Dy 0.186 0.186 0.814
Dy 0.186 0.814 0.186
Dy 0.186 0.814 0.814
Dy 0.211 0.596 0.596
Dy 0.437 0.063 0.063
Dy 0.437 0.063 0.437
Dy 0.437 0.437 0.063
Dy 0.596 0.211 0.596
Dy 0.596 0.596 0.211
Dy 0.596 0.596 0.596
Dy 0.814 0.186 0.186
Dy 0.814 0.186 0.814
Dy 0.814 0.814 0.186
Mg 0.512 0.829 0.829
Mg 0.829 0.512 0.829
Mg 0.829 0.829 0.512
Mg 0.829 0.829 0.829
Rh 0.392 0.392 0.392
Rh 0.392 0.392 0.825
Rh 0.392 0.825 0.392
Rh 0.825 0.392 0.392

Calculated values
Volume = 26.6 Å³ per atom



# 10
VASP calculation (meta-GGA r2SCAN) on Dy2MgSi2 after structural relaxation.

Cell: 7.157 7.157 4.205 Å, 90.00 90.00 90.00°
Fractional coordinates of all 10 atoms:
Dy 0.178 0.322 0.000
Dy 0.322 0.822 0.000
Dy 0.678 0.178 0.000
Dy 0.822 0.678 0.000
Mg 0.000 0.000 0.500
Mg 0.500 0.500 0.500
Si 0.117 0.617 0.500
Si 0.383 0.117 0.500
Si 0.617 0.883 0.500
Si 0.883 0.383 0.500

Calculated values
Volume = 21.5 Å³ per atom



# 11
VASP calculation (meta-GGA r2SCAN) on DyMgTl after structural relaxation.

Cell: 7.501 7.501 4.628 Å, 90.00 90.00 120.00°
Fractional coordinates of all 9 atoms:
Dy 0.000 0.571 0.000
Dy 0.429 0.429 0.000
Dy 0.571 0.000 0.000
Mg 0.000 0.243 0.500
Mg 0.243 0.000 0.500
Mg 0.757 0.757 0.500
Tl 0.000 0.000 0.000
Tl 0.333 0.667 0.500
Tl 0.667 0.333 0.500

Calculated values
Volume = 25.1 Å³ per atom



# 12
VASP calculation (meta-GGA r2SCAN) on Dy2MgTl after structural relaxation.

Cell: 7.511 7.511 7.511 Å, 90.00 90.00 90.00°
Fractional coordinates of all 16 atoms:
Dy 0.250 0.250 0.250
Dy 0.250 0.250 0.750
Dy 0.250 0.750 0.250
Dy 0.250 0.750 0.750
Dy 0.750 0.250 0.250
Dy 0.750 0.250 0.750
Dy 0.750 0.750 0.250
Dy 0.750 0.750 0.750
Mg 0.000 0.000 0.000
Mg 0.000 0.500 0.500
Mg 0.500 0.000 0.500
Mg 0.500 0.500 0.000
Tl 0.000 0.000 0.500
Tl 0.000 0.500 0.000
Tl 0.500 0.000 0.000
Tl 0.500 0.500 0.500

Calculated values
Volume = 26.5 Å³ per atom



| no. | E_form (kcal/mol of atoms) | E (eV per atom) |
| --- | --- | --- |
| 1 | 0.4 | -27.327 |
| 2 | -1.9 | -11.203 |
| 3 | -4.7 | -24.218 |
| 4 | -8.0 | -18.765 |
| 5 | -16.1 | -20.402 |
| 6 | -18.4 | -23.610 |
| 7 | -2.3 | -17.531 |
| 8 | -17.2 | -21.852 |
| 9 | -10.0 | -26.471 |
| 10 | -18.1 | -17.921 |
| 11 | -10.0 | -30.210 |
| 12 | -6.8 | -30.624 |